Record 1
Density functional theory data (GGA+U) for a relaxed structure of RbFeMo2O8.

Cell: 5.7884 5.7884 7.8773 Å, 90.00 90.00 120.00°
Last column: nearest neighbours and their distance in Å.
Atoms (fractional coordinates):
Rb (0.0000, 0.0000, 0.5000)  12 O 3.19-3.37
Fe (0.0000, 0.0000, 0.0000)  6 O 2.01
Mo (0.3333, 0.6667, 0.2209)  4 O 1.75-1.81
Mo (0.6667, 0.3333, 0.7791)  4 O 1.75-1.81
O (0.8386, 0.1614, 0.8486)  1 Mo 1.81, 1 Fe 2.01
O (0.8386, 0.6771, 0.8486)  1 Mo 1.81, 1 Fe 2.01
O (0.3229, 0.1614, 0.8486)  1 Mo 1.81, 1 Fe 2.01
O (0.6771, 0.8386, 0.1514)  1 Mo 1.81, 1 Fe 2.01
O (0.3333, 0.6667, 0.4432)  1 Mo 1.75
O (0.6667, 0.3333, 0.5568)  1 Mo 1.75
O (0.1614, 0.3229, 0.1514)  1 Mo 1.81, 1 Fe 2.01
O (0.1614, 0.8386, 0.1514)  1 Mo 1.81, 1 Fe 2.01

## Properties
Symmetry: P-3m1 (164)
V in Å³ per cell: 228.57
E_form in eV per atom: -2.015



Record 2
Density functional theory data (GGA+U) for a relaxed structure of Li24Mn7Cr5O36.

Cell: 4.9990 9.7236 13.2692 Å, 97.13 100.47 94.64°
Last column: nearest neighbours and their distance in Å.
Atoms (fractional coordinates):
Li (0.1669, 0.9999, 0.8333)  6 O 2.04-2.19
Li (0.0547, 0.0011, 0.6150)  6 O 2.05-2.26
Li (0.9994, 0.7495, 0.2503)  6 O 2.07-2.12
Li (0.3331, 0.7502, 0.9176)  6 O 2.07-2.13
Li (0.0465, 0.4988, 0.1117)  6 O 2.05-2.21
Li (0.3799, 0.5008, 0.7777)  6 O 2.04-2.23
Li (0.1658, 0.5007, 0.3337)  6 O 2.03-2.20
Li (0.5022, 0.5000, 0.0001)  6 O 2.04-2.19
Li (0.2854, 0.4997, 0.5544)  6 O 2.05-2.18
Li (0.3316, 0.2512, 0.4173)  6 O 2.07-2.13
Li (0.5008, 0.9996, 0.5000)  6 O 2.03-2.19
Li (0.2802, 0.9999, 0.0528)  6 O 2.05-2.21
Li (0.6143, 0.9980, 0.7180)  6 O 2.05-2.25
Li (0.3810, 0.9984, 0.2794)  6 O 2.05-2.23
Li (0.7186, 0.0015, 0.9485)  6 O 2.05-2.24
Li (0.6636, 0.7503, 0.5845)  6 O 2.06-2.13
Li (0.7140, 0.4997, 0.4442)  6 O 2.04-2.23
Li (0.8306, 0.5001, 0.6665)  6 O 2.04-2.20
Li (0.6225, 0.5028, 0.2227)  6 O 2.05-2.25
Li (0.9537, 0.4996, 0.8894)  6 O 2.04-2.24
Li (0.6678, 0.2492, 0.0821)  6 O 2.06-2.14
Li (0.8319, 0.0000, 0.1664)  6 O 2.03-2.18
Li (0.0015, 0.2496, 0.7492)  6 O 2.07-2.13
Li (0.9526, 0.9998, 0.3856)  6 O 2.05-2.21
Mn (0.1097, 0.2499, 0.9727)  6 O 1.92-1.95
Mn (0.2246, 0.7510, 0.6943)  6 O 1.92-1.95
Mn (0.4426, 0.2488, 0.6378)  6 O 1.92-1.95
Mn (0.4439, 0.7500, 0.1391)  6 O 1.93-1.94
Mn (0.5536, 0.7487, 0.3598)  6 O 1.92-1.95
Mn (0.8917, 0.2515, 0.5283)  6 O 1.92-1.95
Mn (0.8909, 0.7503, 0.0291)  6 O 1.93-1.95
Cr (0.1045, 0.7503, 0.4733)  6 O 1.89-1.98
Cr (0.2250, 0.2480, 0.1926)  6 O 1.89-1.98
Cr (0.5598, 0.2501, 0.8591)  6 O 1.90-1.99
Cr (0.7765, 0.7496, 0.8079)  6 O 1.91-1.99
Cr (0.7739, 0.2517, 0.3075)  6 O 1.88-1.98
O (0.0014, 0.8622, 0.9306)  1 Mn 1.93, 1 Cr 1.95, 2 Li 2.06-2.08
O (0.0676, 0.6360, 0.7840)  1 Cr 1.94, 1 Mn 1.95, 4 Li 2.04-2.16
O (0.0044, 0.3640, 0.4314)  1 Mn 1.92, 1 Cr 1.97, 2 Li 2.05-2.07
O (0.1426, 0.3617, 0.6436)  2 Mn 1.93-1.94, 2 Li 2.06-2.07
O (0.2648, 0.3642, 0.8827)  1 Mn 1.95, 1 Cr 1.96, 4 Li 2.04-2.16
O (0.3375, 0.8634, 0.5975)  1 Mn 1.92, 1 Cr 1.98, 3 Li 2.05-2.14
O (0.0690, 0.1350, 0.2840)  2 Cr 1.95-1.98, 4 Li 2.03-2.13
O (0.1912, 0.1382, 0.5229)  2 Mn 1.93-1.94, 2 Li 2.07
O (0.4014, 0.1356, 0.9515)  1 Mn 1.94, 1 Cr 1.98, 4 Li 2.04-2.14
O (0.1430, 0.8617, 0.1435)  2 Mn 1.93, 2 Li 2.07-2.08
O (0.2650, 0.8646, 0.3821)  1 Mn 1.94, 1 Cr 1.97, 4 Li 2.03-2.12
O (0.4796, 0.8617, 0.8089)  1 Cr 1.91, 1 Mn 1.94, 2 Li 2.05-2.11
O (0.3307, 0.1372, 0.7355)  1 Mn 1.92, 1 Cr 1.97, 3 Li 2.06-2.14
O (0.1913, 0.6382, 0.0239)  2 Mn 1.93-1.94, 2 Li 2.06-2.07
O (0.4028, 0.6364, 0.4505)  1 Mn 1.93, 1 Cr 1.97, 4 Li 2.03-2.15
O (0.5200, 0.6367, 0.6890)  1 Mn 1.93, 1 Cr 1.99, 2 Li 2.04-2.07
O (0.3311, 0.6380, 0.2374)  2 Mn 1.93-1.94, 2 Li 2.06-2.07
O (0.6690, 0.6378, 0.9058)  1 Cr 1.92, 1 Mn 1.95, 2 Li 2.06-2.10
O (0.3308, 0.3609, 0.0960)  1 Cr 1.91, 1 Mn 1.94, 2 Li 2.05-2.10
O (0.6632, 0.3618, 0.7615)  1 Cr 1.90, 1 Mn 1.95, 2 Li 2.06-2.11
O (0.4825, 0.3624, 0.3097)  2 Cr 1.88-1.98, 2 Li 2.05-2.10
O (0.5967, 0.3638, 0.5476)  2 Mn 1.94-1.95, 4 Li 2.04-2.14
O (0.8144, 0.3636, 0.9782)  1 Mn 1.92, 1 Cr 1.99, 2 Li 2.04-2.07
O (0.6663, 0.8619, 0.2614)  2 Mn 1.94, 3 Li 2.05-2.17
O (0.5174, 0.1371, 0.1903)  2 Cr 1.89-1.98, 2 Li 2.05-2.11
O (0.7371, 0.1362, 0.6183)  2 Mn 1.94-1.95, 4 Li 2.04-2.14
O (0.8536, 0.1384, 0.8580)  1 Cr 1.90, 1 Mn 1.95, 2 Li 2.05-2.11
O (0.5964, 0.8635, 0.0483)  2 Mn 1.94, 4 Li 2.04-2.15
O (0.8112, 0.8619, 0.4742)  1 Cr 1.89, 1 Mn 1.95, 1 Li 2.05
O (0.9322, 0.8648, 0.7147)  1 Mn 1.94, 1 Cr 1.99, 4 Li 2.04-2.13
O (0.6725, 0.1387, 0.4046)  1 Cr 1.90, 1 Mn 1.95, 2 Li 2.05-2.12
O (0.7366, 0.6359, 0.1189)  2 Mn 1.94, 4 Li 2.04-2.13
O (0.8507, 0.6366, 0.3551)  1 Mn 1.92, 1 Cr 1.98, 3 Li 2.04-2.13
O (0.0037, 0.6390, 0.5709)  1 Cr 1.90, 1 Mn 1.95, 2 Li 2.05-2.11
O (0.9319, 0.3642, 0.2166)  2 Cr 1.95-1.97, 4 Li 2.03-2.14
O (0.9949, 0.1363, 0.0690)  1 Mn 1.92, 1 Cr 1.97, 3 Li 2.05-2.14

## Properties
Symmetry: P1 (1)
V in Å³ per cell: 625.81
E_form in eV per atom: -2.201



Record 3
Density functional theory data (GGA+U) for a relaxed structure of Li9Ti7Cr6O30.

Cell: 5.0868 5.0868 23.3124 Å, 90.00 90.00 120.00°
Last column: nearest neighbours and their distance in Å.
Atoms (fractional coordinates):
Li (0.0000, 0.0000, 0.9133)  6 O 2.07-2.24
Li (0.0000, 0.0000, 0.0829)  6 O 2.14-2.21
Li (0.6667, 0.3333, 0.8582)  3 O 1.94
Li (0.3333, 0.6667, 0.5346)  3 O 1.96
Li (0.0000, 0.0000, 0.6263)  3 O 2.05
Li (0.6667, 0.3333, 0.4569)  3 O 1.92
Li (0.3333, 0.6667, 0.1432)  3 O 1.94
Li (0.6667, 0.3333, 0.2085)  6 O 1.98-2.11
Li (0.0000, 0.0000, 0.3816)  3 O 2.06
Ti (0.6667, 0.3333, 0.7119)  3 O 1.87
Ti (0.3333, 0.6667, 0.6896)  3 O 1.88
Ti (0.6667, 0.3333, 0.9820)  3 O 1.87
Ti (0.3333, 0.6667, 0.2876)  3 O 1.88
Ti (0.6667, 0.3333, 0.3168)  3 O 1.85
Ti (0.3333, 0.6667, 0.0052)  3 O 1.87
Ti (0.6667, 0.3333, 0.1072)  3 O 1.87
Cr (0.0000, 0.0000, 0.5024)  6 O 1.93-1.96
Cr (0.0000, 0.0000, 0.7898)  6 O 1.98-2.07
Cr (0.3333, 0.6667, 0.8769)  3 O 1.75
Cr (0.3333, 0.6667, 0.4138)  3 O 1.85
Cr (0.6667, 0.3333, 0.5887)  3 O 1.84
Cr (0.0000, 0.0000, 0.2030)  6 O 2.02-2.09
O (0.0012, 0.3300, 0.7443)  1 Ti 1.87, 1 Cr 1.98
O (0.3318, 0.0465, 0.1490)  1 Ti 1.87, 1 Li 1.94, 1 Cr 2.02
O (0.3337, 0.0454, 0.5492)  2 Cr 1.84-1.93, 1 Li 1.96
O (0.0136, 0.3905, 0.9430)  1 Ti 1.87, 1 Li 2.07
O (0.0164, 0.3909, 0.3523)  1 Ti 1.85, 1 Li 2.06
O (0.2894, 0.3333, 0.4536)  2 Cr 1.85-1.96, 1 Li 1.92
O (0.2899, 0.3338, 0.8462)  1 Cr 1.75, 1 Li 1.94
O (0.6189, 0.0140, 0.6496)  2 Ti 1.88-2.10, 1 Li 2.05, 1 Cr 2.08
O (0.6271, 0.0137, 0.0436)  1 Ti 1.87
O (0.3409, 0.3334, 0.2546)  1 Ti 1.88, 1 Li 1.98, 1 Cr 2.09
O (0.6666, 0.0075, 0.2546)  1 Ti 1.88, 1 Li 1.98, 1 Cr 2.09
O (0.0439, 0.7101, 0.8462)  1 Cr 1.75, 1 Li 1.94
O (0.3866, 0.3729, 0.0436)  1 Ti 1.87
O (0.0439, 0.7106, 0.4536)  2 Cr 1.85-1.96, 1 Li 1.92
O (0.3952, 0.3811, 0.6496)  2 Ti 1.88-2.10, 1 Li 2.05, 1 Cr 2.08
O (0.6091, 0.6255, 0.3523)  1 Ti 1.85, 1 Li 2.06
O (0.6095, 0.6232, 0.9430)  1 Ti 1.87, 1 Li 2.07
O (0.9546, 0.2883, 0.5492)  2 Cr 1.84-1.93, 1 Li 1.96
O (0.9535, 0.2853, 0.1490)  1 Ti 1.87, 1 Li 1.94, 1 Cr 2.02
O (0.3288, 0.9988, 0.7443)  1 Ti 1.87, 1 Cr 1.98
O (0.3768, 0.9864, 0.9430)  1 Ti 1.87, 1 Li 2.07
O (0.6700, 0.6712, 0.7443)  1 Ti 1.87, 1 Cr 1.98
O (0.7117, 0.6663, 0.5492)  2 Cr 1.84-1.93, 1 Li 1.96
O (0.3745, 0.9836, 0.3523)  1 Ti 1.85, 1 Li 2.06
O (0.7147, 0.6682, 0.1490)  1 Ti 1.87, 1 Li 1.94, 1 Cr 2.02
O (0.9860, 0.6048, 0.6496)  2 Ti 1.88-2.10, 1 Li 2.05, 1 Cr 2.08
O (0.6662, 0.9561, 0.8462)  1 Cr 1.75, 1 Li 1.94
O (0.9863, 0.6134, 0.0436)  1 Ti 1.87
O (0.6667, 0.9561, 0.4536)  2 Cr 1.85-1.96, 1 Li 1.92
O (0.9925, 0.6591, 0.2546)  1 Ti 1.88, 1 Li 1.98, 1 Cr 2.09

## Properties
Symmetry: P3 (143)
V in Å³ per cell: 522.41
E_form in eV per atom: -2.692